# 1
Here is UIr3 after structural relaxation from Materials Project. Energies are from meta-GGA r2SCAN.

```
UIr3
1.0
-0.049 3.980 0.655
-3.907 -0.209 0.983
1.004 -0.622 3.857
Ir U
3 1
direct
0.500 0.000 0.500
0.000 0.500 0.500
0.500 0.500 0.000
0.000 0.000 0.000
```

Values from the calculation:
Total DFT energy (no corrections), Ha/atom: -2.2039
Energy of formation, meV/atom: -716.1

---

# 2
Here is VIr3 after structural relaxation from Materials Project. Energies are from meta-GGA r2SCAN.

```
VIr3
1.0
-0.309 5.109 1.827
-4.469 -2.520 -1.791
-0.770 -1.477 4.001
Ir V
6 2
direct
0.335 0.167 0.750
0.833 0.167 0.750
0.167 0.335 0.250
0.833 0.665 0.750
0.665 0.833 0.250
0.167 0.833 0.250
0.667 0.333 0.250
0.333 0.667 0.750
```

Values from the calculation:
Total DFT energy (no corrections), Ha/atom: -1.5931
Energy of formation, meV/atom: -558.0

---

# 3
Here is VIr3 after structural relaxation from Materials Project. Energies are from meta-GGA r2SCAN.

```
VIr3
1.0
3.817 0.000 0.000
0.000 3.817 0.000
0.000 0.000 3.817
Ir V
3 1
direct
0.000 0.500 0.500
0.500 0.500 0.000
0.500 0.000 0.500
0.000 0.000 0.000
```

Values from the calculation:
Total DFT energy (no corrections), Ha/atom: -1.5925
Energy of formation, meV/atom: -542.1

---

# 4
Here is Y3Ir after structural relaxation from Materials Project. Energies are from meta-GGA r2SCAN.

```
Y3Ir
1.0
0.000 0.000 6.458
7.261 0.000 0.000
0.000 9.285 0.000
Y Ir
12 4
direct
0.677 0.326 0.565
0.631 0.038 0.250
0.369 0.962 0.750
0.177 0.174 0.435
0.869 0.538 0.250
0.677 0.326 0.935
0.823 0.826 0.565
0.177 0.174 0.065
0.323 0.674 0.435
0.131 0.462 0.750
0.323 0.674 0.065
0.823 0.826 0.935
0.961 0.115 0.750
0.461 0.385 0.250
0.039 0.885 0.250
0.539 0.615 0.750
```

Values from the calculation:
Total DFT energy (no corrections), Ha/atom: -1.0635
Energy of formation, meV/atom: -614.3

---

# 5
Here is YIr3 after structural relaxation from Materials Project. Energies are from meta-GGA r2SCAN.

```
YIr3
1.0
-2.642 -4.576 0.000
2.642 -4.576 0.000
0.000 -3.051 8.746
Ir Y
9 3
direct
0.419 0.419 0.245
0.668 0.668 0.997
0.332 0.332 0.003
0.581 0.084 0.755
0.581 0.581 0.755
0.084 0.581 0.755
0.500 0.500 0.500
0.916 0.419 0.245
0.419 0.916 0.245
0.861 0.861 0.418
0.000 0.000 0.000
0.139 0.139 0.582
```

Values from the calculation:
Total DFT energy (no corrections), Ha/atom: -1.6541
Energy of formation, meV/atom: -662.2

---

# 6
Here is YbIr2 after structural relaxation from Materials Project. Energies are from meta-GGA r2SCAN.

```
YbIr2
1.0
0.000 3.739 3.739
3.739 0.000 3.739
3.739 3.739 0.000
Ir Yb
4 2
direct
0.625 0.125 0.125
0.125 0.125 0.125
0.125 0.625 0.125
0.125 0.125 0.625
0.750 0.750 0.750
0.500 0.500 0.500
```

Values from the calculation:
Total DFT energy (no corrections), Ha/atom: -1.7649
Energy of formation, meV/atom: -944.0

---

# 7
Here is Yb5Ir3 after structural relaxation from Materials Project. Energies are from meta-GGA r2SCAN.

```
Yb5Ir3
1.0
-2.321 5.514 5.552
-0.372 1.808 -7.950
-5.644 -2.149 -0.225
Yb Ir
10 6
direct
0.667 0.333 0.500
0.000 0.736 0.750
0.736 0.736 0.250
0.333 0.667 0.000
0.736 0.000 0.750
0.264 0.000 0.250
0.000 0.264 0.250
0.667 0.333 0.000
0.264 0.264 0.750
0.333 0.667 0.500
0.613 0.613 0.750
0.000 0.613 0.250
0.387 0.387 0.250
0.000 0.387 0.750
0.387 0.000 0.750
0.613 0.000 0.250
```

Values from the calculation:
Total DFT energy (no corrections), Ha/atom: -1.5963
Energy of formation, meV/atom: -972.5

---

# 8
Here is Yb2ZnIr after structural relaxation from Materials Project. Energies are from meta-GGA r2SCAN.

```
Yb2ZnIr
1.0
0.000 3.394 3.394
3.394 0.000 3.394
3.394 3.394 0.000
Yb Ir Zn
2 1 1
direct
0.250 0.250 0.250
0.750 0.750 0.750
0.500 0.500 0.500
0.000 0.000 0.000
```

Values from the calculation:
Total DFT energy (no corrections), Ha/atom: -1.2633
Energy of formation, meV/atom: -794.2

---

# 9
Here is YbZrIr2 after structural relaxation from Materials Project. Energies are from meta-GGA r2SCAN.

```
YbZrIr2
1.0
-1.471 -3.274 3.024
1.378 0.159 4.483
-3.076 1.123 3.362
Yb Ir Zr
1 2 1
direct
0.250 0.250 0.250
0.000 0.000 0.000
0.500 0.500 0.500
0.750 0.750 0.750
```

Values from the calculation:
Total DFT energy (no corrections), Ha/atom: -1.5433
Energy of formation, meV/atom: -994.8

---

# 10
Here is ZnIr after structural relaxation from Materials Project. Energies are from meta-GGA r2SCAN.

```
ZnIr
1.0
-0.400 1.521 -2.289
1.376 -2.407 -0.156
-3.582 -2.002 -0.704
Ir Zn
1 1
direct
0.000 0.000 0.000
0.667 0.333 0.500
```

Values from the calculation:
Total DFT energy (no corrections), Ha/atom: -1.1338
Energy of formation, meV/atom: -216.7

---

# 11
Here is Zn11Ir2 after structural relaxation from Materials Project. Energies are from meta-GGA r2SCAN.

```
Zn11Ir2
1.0
-0.874 4.879 6.050
-6.349 0.331 -4.554
0.929 -7.299 2.651
Zn Ir
22 4
direct
0.382 0.733 0.733
0.000 0.000 0.788
0.643 0.000 0.643
0.357 0.000 0.357
0.212 0.212 0.212
0.000 0.649 0.267
0.267 0.000 0.649
0.649 0.267 0.000
0.733 0.382 0.733
0.000 0.267 0.649
0.649 0.000 0.267
0.000 0.788 0.000
0.788 0.000 0.000
0.733 0.733 0.382
0.643 0.643 0.000
0.351 0.351 0.618
0.000 0.643 0.643
0.618 0.351 0.351
0.351 0.618 0.351
0.357 0.357 0.000
0.267 0.649 0.000
0.000 0.357 0.357
0.346 0.000 0.000
0.000 0.346 0.000
0.654 0.654 0.654
0.000 0.000 0.346
```

Values from the calculation:
Total DFT energy (no corrections), Ha/atom: -0.5814
Energy of formation, meV/atom: -225.8

---

# 12
Here is Zr3Ir after structural relaxation from Materials Project. Energies are from meta-GGA r2SCAN.

```
Zr3Ir
1.0
-4.935 -2.897 0.428
-0.191 -4.347 6.879
-5.619 4.451 3.856
Zr Ir
12 4
direct
0.450 0.590 0.000
0.039 0.411 0.000
0.854 0.646 0.646
0.357 0.000 0.808
0.164 0.000 0.192
0.961 0.000 0.589
0.550 0.000 0.410
0.500 0.354 0.646
0.836 0.808 0.000
0.643 0.192 0.000
0.500 0.646 0.354
0.146 0.354 0.354
0.708 0.292 0.292
0.000 0.708 0.292
0.292 0.708 0.708
0.000 0.292 0.708
```

Values from the calculation:
Total DFT energy (no corrections), Ha/atom: -1.1301
Energy of formation, meV/atom: -599.4

---

# 13
Here is Zr5Ir3 after structural relaxation from Materials Project. Energies are from meta-GGA r2SCAN.

```
Zr5Ir3
1.0
2.256 2.988 7.118
-4.918 -6.356 -0.317
4.366 -3.380 0.035
Zr Ir
10 6
direct
0.757 0.000 0.250
0.243 0.000 0.750
0.333 0.667 0.000
0.667 0.333 0.500
0.000 0.243 0.750
0.667 0.333 0.000
0.000 0.757 0.250
0.243 0.243 0.250
0.333 0.667 0.500
0.757 0.757 0.750
0.000 0.397 0.250
0.603 0.603 0.250
0.000 0.603 0.750
0.397 0.397 0.750
0.397 0.000 0.250
0.603 0.000 0.750
```

Values from the calculation:
Excess energy over the best structure of this formula in the dataset, meV/atom: 11
Total DFT energy (no corrections), Ha/atom: -1.2752
Energy of formation, meV/atom: -847.2

---

# 14
Here is Zr5Ir3 after structural relaxation from Materials Project. Energies are from meta-GGA r2SCAN.

```
Zr5Ir3
1.0
-6.108 -5.058 -0.487
7.032 -2.513 2.714
-4.695 4.129 15.987
Zr Ir
30 18
direct
0.000 0.251 0.333
0.752 0.376 0.083
0.690 0.345 0.583
0.008 0.238 0.993
0.008 0.770 0.174
0.762 0.770 0.326
0.749 0.749 0.667
0.345 0.690 0.750
0.992 0.762 0.493
0.376 0.624 0.917
0.770 0.762 0.007
0.770 0.008 0.159
0.310 0.655 0.083
0.376 0.752 0.250
0.251 0.251 0.167
0.655 0.310 0.250
0.251 0.000 0.000
0.230 0.238 0.507
0.230 0.992 0.659
0.992 0.230 0.674
0.238 0.008 0.341
0.655 0.345 0.917
0.749 0.000 0.500
0.345 0.655 0.417
0.624 0.248 0.750
0.762 0.992 0.841
0.000 0.749 0.833
0.248 0.624 0.583
0.238 0.230 0.826
0.624 0.376 0.417
0.022 0.606 0.976
0.416 0.022 0.143
0.022 0.416 0.190
0.394 0.416 0.310
0.382 0.382 0.667
0.978 0.584 0.690
0.000 0.618 0.333
0.584 0.606 0.524
0.000 0.382 0.833
0.416 0.394 0.024
0.618 0.618 0.167
0.394 0.978 0.857
0.584 0.978 0.643
0.606 0.584 0.810
0.618 0.000 0.000
0.382 0.000 0.500
0.606 0.022 0.357
0.978 0.394 0.476
```

Values from the calculation:
Excess energy over the best structure of this formula in the dataset, meV/atom: 0
Total DFT energy (no corrections), Ha/atom: -1.2756
Energy of formation, meV/atom: -858.6

---

# 15
Here is K after structural relaxation from Materials Project. Energies are from meta-GGA r2SCAN.

```
K
1.0
-7.623 -0.616 2.429
4.324 -0.400 6.747
-0.499 9.695 0.895
K
8
direct
0.752 0.752 0.252
0.748 0.748 0.752
0.250 0.750 0.000
0.750 0.250 0.500
0.750 0.250 0.000
0.250 0.750 0.500
0.248 0.248 0.748
0.252 0.252 0.248
```

Values from the calculation:
Excess energy over the best structure of this formula in the dataset, meV/atom: 0
Total DFT energy (no corrections), Ha/atom: -0.2212
Energy of formation, meV/atom: 0.1

---

# 16
Here is K after structural relaxation from Materials Project. Energies are from meta-GGA r2SCAN.

```
K
1.0
-12.281 -3.624 -6.320
10.938 -3.552 -8.464
1.171 -6.909 12.441
K
29
direct
0.635 0.000 0.000
0.000 0.000 0.000
0.596 0.596 0.278
0.190 0.000 0.373
0.318 0.722 0.318
0.627 0.627 0.817
0.000 0.000 0.635
0.000 0.404 0.682
0.722 0.318 0.318
0.373 0.000 0.190
0.318 0.318 0.722
0.278 0.596 0.596
0.810 0.810 0.183
0.000 0.635 0.000
0.183 0.810 0.810
0.682 0.404 0.000
0.404 0.000 0.682
0.404 0.682 0.000
0.810 0.183 0.810
0.365 0.365 0.365
0.373 0.190 0.000
0.000 0.190 0.373
0.000 0.373 0.190
0.000 0.682 0.404
0.817 0.627 0.627
0.682 0.000 0.404
0.627 0.817 0.627
0.596 0.278 0.596
0.190 0.373 0.000
```

Values from the calculation:
Excess energy over the best structure of this formula in the dataset, meV/atom: 16
Total DFT energy (no corrections), Ha/atom: -0.2206
Energy of formation, meV/atom: 16.3

---

# 17
Here is K after structural relaxation from Materials Project. Energies are from meta-GGA r2SCAN.

```
K
1.0
-4.368 0.000 -4.369
4.368 0.000 -4.369
0.000 -11.256 0.000
K
5
direct
0.000 0.000 0.000
0.000 0.500 0.692
0.500 0.000 0.308
0.000 0.500 0.308
0.500 0.000 0.692
```

Values from the calculation:
Excess energy over the best structure of this formula in the dataset, meV/atom: 119
Total DFT energy (no corrections), Ha/atom: -0.2168
Energy of formation, meV/atom: 118.5

---

# 18
Here is K after structural relaxation from Materials Project. Energies are from meta-GGA r2SCAN.

```
K
1.0
4.762 0.000 0.000
-2.381 4.124 0.000
0.000 0.000 7.830
K
2
direct
0.333 0.667 0.250
0.667 0.333 0.750
```

Values from the calculation:
Excess energy over the best structure of this formula in the dataset, meV/atom: 9
Total DFT energy (no corrections), Ha/atom: -0.2208
Energy of formation, meV/atom: 8.7

---

# 19
Here is K after structural relaxation from Materials Project. Energies are from meta-GGA r2SCAN.

```
K
1.0
4.310 0.000 0.000
0.000 4.310 0.000
0.000 0.000 4.310
K
1
direct
0.000 0.000 0.000
```

Values from the calculation:
Excess energy over the best structure of this formula in the dataset, meV/atom: 112
Total DFT energy (no corrections), Ha/atom: -0.2171
Energy of formation, meV/atom: 112.0

---

# 20
Here is K after structural relaxation from Materials Project. Energies are from meta-GGA r2SCAN.

```
K
1.0
-7.044 -4.593 -1.170
4.738 -6.881 -1.514
-0.129 -1.909 8.272
K
8
direct
0.500 0.750 0.000
0.000 0.000 0.000
0.000 0.500 0.750
0.500 0.250 0.000
0.500 0.500 0.500
0.750 0.000 0.500
0.000 0.500 0.250
0.250 0.000 0.500
```

Values from the calculation:
Excess energy over the best structure of this formula in the dataset, meV/atom: 13
Total DFT energy (no corrections), Ha/atom: -0.2207
Energy of formation, meV/atom: 13.5

---

# 21
Here is K after structural relaxation from Materials Project. Energies are from meta-GGA r2SCAN.

```
K
1.0
-1.720 3.877 2.523
14.475 4.796 2.499
-0.254 4.308 -6.794
K
8
direct
0.750 0.502 0.750
0.750 0.002 0.750
0.250 0.753 0.894
0.750 0.247 0.106
0.250 0.253 0.606
0.750 0.747 0.394
0.250 0.998 0.250
0.250 0.498 0.250
```

Values from the calculation:
Excess energy over the best structure of this formula in the dataset, meV/atom: 6
Total DFT energy (no corrections), Ha/atom: -0.2209
Energy of formation, meV/atom: 6.3